## Ho2NiAs2 (PBE)

Data for an optimized crystal structure of Ho2NiAs2. Values from VASP.

Properties
E_form ... -1.24 eV/atom
Uncorrected energy ... -6.0877 eV/atom
Calculated density ... 8.71 g/cm³

Quantum ESPRESSO input file:
```
&SYSTEM
  ibrav = 0, nat = 10, ntyp = 3
/
ATOMIC_SPECIES
As 74.92 As.upf
Ho 164.93 Ho.upf
Ni 58.69 Ni.upf
CELL_PARAMETERS angstrom
0.813 3.059 2.602
-3.778 -1.574 -0.196
3.394 -9.391 9.981
ATOMIC_POSITIONS crystal
As 0.333 0.667 0.250
As 0.000 0.000 0.000
As 0.000 0.000 0.500
As 0.667 0.333 0.750
Ho 0.333 0.667 0.618
Ho 0.333 0.667 0.882
Ho 0.667 0.333 0.118
Ho 0.667 0.333 0.382
Ni 0.000 0.000 0.750
Ni 0.000 0.000 0.250
```